Entry 1:
VASP calculation (PBE with a Hubbard U) on a relaxed NaVF6 crystal.

Cell: 9.6543 5.9844 7.9982 Å, 90.00 90.00 90.00°
Closest atoms and distances in Å follow each position.
Fractional coordinates of all 32 atoms:
Na 0.0042 0.2500 0.1667  7 F 2.37-2.58
Na 0.4958 0.7500 0.6667  7 F 2.37-2.58
Na 0.5042 0.2500 0.3333  7 F 2.37-2.58
Na 0.9958 0.7500 0.8333  7 F 2.37-2.58
V 0.2279 0.2500 0.6155  6 F 1.78-1.85
V 0.2721 0.7500 0.1155  6 F 1.78-1.85
V 0.7279 0.2500 0.8845  6 F 1.78-1.85
V 0.7721 0.7500 0.3845  6 F 1.78-1.85
F 0.1065 0.0345 0.6724  1 V 1.80
F 0.1065 0.4655 0.6724  1 V 1.80
F 0.1435 0.5381 0.0513  1 V 1.85
F 0.1435 0.9619 0.0513  1 V 1.85
F 0.1647 0.2500 0.4011  1 V 1.82
F 0.1978 0.7500 0.3193  1 V 1.78
F 0.3022 0.2500 0.8193  1 V 1.78
F 0.3353 0.7500 0.9011  1 V 1.82
F 0.3565 0.0381 0.5513  1 V 1.85
F 0.3565 0.4619 0.5513  1 V 1.85
F 0.3935 0.5345 0.1724  1 V 1.80
F 0.3935 0.9655 0.1724  1 V 1.80
F 0.6065 0.0345 0.8276  1 V 1.80
F 0.6065 0.4655 0.8276  1 V 1.80
F 0.6435 0.5381 0.4487  1 V 1.85
F 0.6435 0.9619 0.4487  1 V 1.85
F 0.6647 0.2500 0.0989  1 V 1.82
F 0.6978 0.7500 0.1807  1 V 1.78
F 0.8022 0.2500 0.6807  1 V 1.78
F 0.8353 0.7500 0.5989  1 V 1.82
F 0.8565 0.0381 0.9487  1 V 1.85
F 0.8565 0.4619 0.9487  1 V 1.85
F 0.8935 0.5345 0.3276  1 V 1.80
F 0.8935 0.9655 0.3276  1 V 1.80

Calculated values
As for the calculated formation energy: -2941 meV per atom.

=====

Entry 2:
VASP calculation (PBE with a Hubbard U) on a relaxed SrFe3P4HO16 crystal.

Cell: 8.6054 7.3918 19.8038 Å, 90.00 94.87 90.00°
Closest atoms and distances in Å follow each position.
Fractional coordinates of all 100 atoms:
Sr 0.2018 0.0620 0.0624  8 O 2.50-2.80
Sr 0.2018 0.4380 0.5624  8 O 2.50-2.80
Sr 0.7982 0.5620 0.4376  8 O 2.50-2.80
Sr 0.7982 0.9380 0.9376  8 O 2.50-2.80
Fe 0.2174 0.5651 0.0816  5 O 1.95-2.10
Fe 0.2174 0.9349 0.5816  5 O 1.95-2.10
Fe 0.2642 0.6021 0.3092  5 O 1.94-2.18
Fe 0.2642 0.8979 0.8092  5 O 1.94-2.18
Fe 0.2706 0.0070 0.2858  5 O 1.90-2.08
Fe 0.2706 0.4930 0.7858  5 O 1.90-2.08
Fe 0.7294 0.5070 0.2142  5 O 1.90-2.08
Fe 0.7294 0.9930 0.7142  5 O 1.90-2.08
Fe 0.7358 0.1021 0.1908  5 O 1.94-2.18
Fe 0.7358 0.3979 0.6908  5 O 1.94-2.18
Fe 0.7826 0.0651 0.4184  5 O 1.95-2.10
Fe 0.7826 0.4349 0.9184  5 O 1.95-2.10
P 0.0160 0.7063 0.6821  4 O 1.52-1.56
P 0.0160 0.7937 0.1821  4 O 1.52-1.56
P 0.1144 0.6812 0.9318  4 O 1.53-1.58
P 0.1144 0.8188 0.4318  4 O 1.53-1.58
P 0.3847 0.1823 0.6896  4 O 1.53-1.57
P 0.3847 0.3177 0.1896  4 O 1.53-1.57
P 0.4468 0.2065 0.8999  4 O 1.53-1.61
P 0.4468 0.2935 0.3999  4 O 1.53-1.61
P 0.5532 0.7065 0.6001  4 O 1.53-1.61
P 0.5532 0.7935 0.1001  4 O 1.53-1.61
P 0.6153 0.6823 0.8104  4 O 1.53-1.57
P 0.6153 0.8177 0.3104  4 O 1.53-1.57
P 0.8856 0.1812 0.5682  4 O 1.53-1.58
P 0.8856 0.3188 0.0682  4 O 1.53-1.58
P 0.9840 0.2063 0.8179  4 O 1.52-1.56
P 0.9840 0.2937 0.3179  4 O 1.52-1.56
H 0.2834 0.1413 0.4622  1 O 1.01
H 0.2834 0.3587 0.9622  1 O 1.01
H 0.7166 0.6413 0.0378  1 O 1.01
H 0.7166 0.8587 0.5378  1 O 1.01
O 0.0526 0.1186 0.5943  1 P 1.56
O 0.0526 0.3814 0.0943  1 P 1.56
O 0.0706 0.0245 0.8251  1 P 1.54
O 0.0706 0.4755 0.3251  1 P 1.54
O 0.0891 0.1334 0.3069  1 P 1.52
O 0.0891 0.3666 0.8069  1 P 1.52
O 0.0972 0.6363 0.4666  1 P 1.53
O 0.0975 0.7337 0.6152  1 P 1.56
O 0.0975 0.7663 0.1152  1 P 1.56
O 0.0972 0.8637 0.9666  1 P 1.53
O 0.1465 0.6993 0.7417  1 P 1.56
O 0.1465 0.8007 0.2417  1 P 1.56
O 0.1904 0.5366 0.9833  1 P 1.58, 1 H 1.61
O 0.1904 0.9634 0.4833  1 P 1.58, 1 H 1.61
O 0.2219 0.6893 0.8726  1 P 1.55
O 0.2219 0.8107 0.3726  1 P 1.55
O 0.3073 0.0345 0.7290  1 P 1.53
O 0.3070 0.1292 0.1976  1 P 1.56
O 0.3070 0.3708 0.6976  1 P 1.56
O 0.3073 0.4655 0.2290  1 P 1.53
O 0.3343 0.2353 0.9598  1 H 1.01
O 0.3343 0.2647 0.4598  1 H 1.01
O 0.3606 0.1322 0.6125  1 P 1.57
O 0.3606 0.3678 0.1125  1 P 1.57
O 0.3820 0.7296 0.5717  1 P 1.54
O 0.3820 0.7704 0.0717  1 P 1.54
O 0.4079 0.1547 0.3439  1 P 1.53
O 0.4079 0.3453 0.8439  1 P 1.53
O 0.4186 0.0098 0.8767  1 P 1.54
O 0.4186 0.4902 0.3767  1 P 1.54
O 0.4380 0.6962 0.7872  1 P 1.56
O 0.4380 0.8038 0.2872  1 P 1.56
O 0.5620 0.1962 0.7128  1 P 1.56
O 0.5620 0.3038 0.2128  1 P 1.56
O 0.5814 0.5098 0.6233  1 P 1.54
O 0.5814 0.9902 0.1233  1 P 1.54
O 0.5921 0.6547 0.1561  1 P 1.53
O 0.5921 0.8453 0.6561  1 P 1.53
O 0.6180 0.2296 0.9283  1 P 1.54
O 0.6180 0.2704 0.4283  1 P 1.54
O 0.6394 0.6322 0.8875  1 P 1.57
O 0.6394 0.8678 0.3875  1 P 1.57
O 0.6657 0.7353 0.5402  1 H 1.01
O 0.6657 0.7647 0.0402  1 H 1.01
O 0.6927 0.5345 0.7710  1 P 1.53
O 0.6930 0.6292 0.3024  1 P 1.56
O 0.6930 0.8708 0.8024  1 P 1.56
O 0.6927 0.9655 0.2710  1 P 1.53
O 0.7781 0.1893 0.6274  1 P 1.55
O 0.7781 0.3107 0.1274  1 P 1.55
O 0.8096 0.0366 0.5167  1 P 1.58, 1 H 1.61
O 0.8096 0.4634 0.0167  1 P 1.58, 1 H 1.61
O 0.8535 0.1993 0.7583  1 P 1.56
O 0.8535 0.3007 0.2583  1 P 1.56
O 0.9028 0.1363 0.0334  1 P 1.53
O 0.9025 0.2337 0.8848  1 P 1.56
O 0.9025 0.2663 0.3848  1 P 1.56
O 0.9028 0.3637 0.5334  1 P 1.53
O 0.9109 0.6334 0.1931  1 P 1.52
O 0.9109 0.8666 0.6931  1 P 1.52
O 0.9294 0.5245 0.6749  1 P 1.54
O 0.9294 0.9755 0.1749  1 P 1.54
O 0.9474 0.6186 0.9057  1 P 1.56
O 0.9474 0.8814 0.4057  1 P 1.56

Calculated values
As for the calculated formation energy: -2476 meV per atom.

=====

Entry 3:
VASP calculation (PBE with a Hubbard U) on a relaxed KMo4O8 crystal.

Cell: 10.4877 10.4877 6.5199 Å, 90.00 90.00 90.00°
Closest atoms and distances in Å follow each position.
Fractional coordinates of all 52 atoms:
K 0.2500 0.2500 0.1319  8 O 3.08-3.12, 2 K 3.23-3.29
K 0.2500 0.2500 0.6370  8 O 3.01-3.16, 2 K 3.23-3.29
K 0.7500 0.7500 0.3630  8 O 3.01-3.16, 2 K 3.23-3.29
K 0.7500 0.7500 0.8681  8 O 3.08-3.12, 2 K 3.23-3.29
Mo 0.0810 0.9033 0.8783  6 O 2.07-2.15
Mo 0.0840 0.8975 0.3743  6 O 2.00-2.16
Mo 0.0967 0.5810 0.1217  6 O 2.07-2.15
Mo 0.1025 0.5840 0.6257  6 O 2.00-2.16
Mo 0.3975 0.9160 0.6257  6 O 2.00-2.16
Mo 0.4033 0.9190 0.1217  6 O 2.07-2.15
Mo 0.4160 0.6025 0.3743  6 O 2.00-2.16
Mo 0.4190 0.5967 0.8783  6 O 2.07-2.15
Mo 0.5810 0.4033 0.1217  6 O 2.07-2.15
Mo 0.5840 0.3975 0.6257  6 O 2.00-2.16
Mo 0.5967 0.0810 0.8783  6 O 2.07-2.15
Mo 0.6025 0.0840 0.3743  6 O 2.00-2.16
Mo 0.8975 0.4160 0.3743  6 O 2.00-2.16
Mo 0.9033 0.4190 0.8783  6 O 2.07-2.15
Mo 0.9160 0.1025 0.6257  6 O 2.00-2.16
Mo 0.9190 0.0967 0.1217  6 O 2.07-2.15
O 0.0482 0.0934 0.3785  3 Mo 2.09-2.15
O 0.0521 0.1040 0.8741  3 Mo 2.13-2.16
O 0.0869 0.7068 0.3718  3 Mo 2.00-2.10
O 0.0876 0.7067 0.8636  3 Mo 2.02-2.14
O 0.0934 0.4518 0.3785  3 Mo 2.09-2.15
O 0.1040 0.4479 0.8741  3 Mo 2.13-2.16
O 0.2067 0.9124 0.1364  3 Mo 2.02-2.14
O 0.2068 0.9131 0.6282  3 Mo 2.00-2.10
O 0.2932 0.5869 0.6282  3 Mo 2.00-2.10
O 0.2933 0.5876 0.1364  3 Mo 2.02-2.14
O 0.3960 0.0521 0.8741  3 Mo 2.13-2.16
O 0.4066 0.0482 0.3785  3 Mo 2.09-2.15
O 0.4124 0.7933 0.8636  3 Mo 2.02-2.14
O 0.4131 0.7932 0.3718  3 Mo 2.00-2.10
O 0.4479 0.3960 0.8741  3 Mo 2.13-2.16
O 0.4518 0.4066 0.3785  3 Mo 2.09-2.15
O 0.5482 0.5934 0.6215  3 Mo 2.09-2.15
O 0.5521 0.6040 0.1259  3 Mo 2.13-2.16
O 0.5869 0.2068 0.6282  3 Mo 2.00-2.10
O 0.5876 0.2067 0.1364  3 Mo 2.02-2.14
O 0.5934 0.9518 0.6215  3 Mo 2.09-2.15
O 0.6040 0.9479 0.1259  3 Mo 2.13-2.16
O 0.7067 0.4124 0.8636  3 Mo 2.02-2.14
O 0.7068 0.4131 0.3718  3 Mo 2.00-2.10
O 0.7932 0.0869 0.3718  3 Mo 2.00-2.10
O 0.7933 0.0876 0.8636  3 Mo 2.02-2.14
O 0.8960 0.5521 0.1259  3 Mo 2.13-2.16
O 0.9066 0.5482 0.6215  3 Mo 2.09-2.15
O 0.9124 0.2933 0.1364  3 Mo 2.02-2.14
O 0.9131 0.2932 0.6282  3 Mo 2.00-2.10
O 0.9479 0.8960 0.1259  3 Mo 2.13-2.16
O 0.9518 0.9066 0.6215  3 Mo 2.09-2.15

Calculated values
As for the calculated formation energy: -1819 meV per atom.

=====

Entry 4:
VASP calculation (PBE with a Hubbard U) on a relaxed Li2TiMnO4 crystal.

Cell: 5.3630 6.0151 10.3461 Å, 73.10 80.78 90.00°
Closest atoms and distances in Å follow each position.
Fractional coordinates of all 32 atoms:
Li 0.5000 0.7500 0.5000  6 O 2.22-2.40
Li 0.5000 0.2500 0.5000  6 O 2.22-2.40
Li 0.0000 0.5000 0.0000  6 O 2.22-2.40
Li 0.0000 0.0000 0.0000  6 O 2.22-2.40
Li 0.5000 0.2500 0.0000  6 O 2.13
Li 0.5000 0.7500 0.0000  6 O 2.13
Li 0.0000 0.0000 0.5000  6 O 2.13
Li 0.0000 0.5000 0.5000  6 O 2.13
Ti 0.2500 0.3750 0.2500  6 O 1.96-2.04
Ti 0.2500 0.8750 0.2500  6 O 1.96-2.04
Ti 0.7500 0.1250 0.7500  6 O 1.96-2.04
Ti 0.7500 0.6250 0.7500  6 O 1.96-2.04
Mn 0.2500 0.8750 0.7500  6 O 2.14-2.23
Mn 0.7500 0.6250 0.2500  6 O 2.14-2.23
Mn 0.2500 0.3750 0.7500  6 O 2.14-2.23
Mn 0.7500 0.1250 0.2500  6 O 2.14-2.23
O 0.4127 0.5689 0.8622  1 Ti 1.96, 2 Li 2.13, 2 Mn 2.14
O 0.4127 0.0689 0.8622  1 Ti 1.96, 2 Li 2.13, 2 Mn 2.14
O 0.9127 0.3189 0.3622  1 Ti 1.96, 2 Li 2.13, 2 Mn 2.14
O 0.9127 0.8189 0.3622  1 Ti 1.96, 2 Li 2.13, 2 Mn 2.14
O 0.0873 0.1811 0.6378  1 Ti 1.96, 2 Li 2.13, 2 Mn 2.14
O 0.0873 0.6811 0.6378  1 Ti 1.96, 2 Li 2.13, 2 Mn 2.14
O 0.5873 0.9311 0.1378  1 Ti 1.96, 2 Li 2.13, 2 Mn 2.14
O 0.5873 0.4311 0.1378  1 Ti 1.96, 2 Li 2.13, 2 Mn 2.14
O 0.3563 0.0666 0.3668  2 Ti 2.04, 3 Li 2.13-2.22, 1 Mn 2.23
O 0.3563 0.5666 0.3668  2 Ti 2.04, 3 Li 2.13-2.22, 1 Mn 2.23
O 0.8563 0.8166 0.8668  2 Ti 2.04, 3 Li 2.13-2.22, 1 Mn 2.23
O 0.8563 0.3166 0.8668  2 Ti 2.04, 3 Li 2.13-2.22, 1 Mn 2.23
O 0.1437 0.6834 0.1332  2 Ti 2.04, 3 Li 2.13-2.22, 1 Mn 2.23
O 0.1437 0.1834 0.1332  2 Ti 2.04, 3 Li 2.13-2.22, 1 Mn 2.23
O 0.6437 0.4334 0.6332  2 Ti 2.04, 3 Li 2.13-2.22, 1 Mn 2.23
O 0.6437 0.9334 0.6332  2 Ti 2.04, 3 Li 2.13-2.22, 1 Mn 2.23

Calculated values
As for the calculated formation energy: -2665 meV per atom.